(1)
First-principles (GGA-PBE) data for crystalline MnCuPt6 at its relaxed geometry, as listed in the Materials Project database.

The structure in POSCAR format:
```
MnCuPt6
1.0
-3.279 -1.115 4.326
-5.481 0.703 -0.423
-3.357 -4.407 -0.131
Pt Cu Mn
6 1 1
Cartesian
-4.419 -1.852 -0.277
-4.380 -0.206 1.952
-3.318 -2.761 2.098
-1.640 -0.557 2.163
-2.740 0.352 -0.212
-1.679 -2.204 -0.065
0.000 0.000 0.000
-6.059 -2.409 1.886
```

Output
**ΔH_f (0 K)**: -18.5 kJ/mol of atoms
**Calculated total energy**: -0.235 Ha/atom

***

(2)
First-principles (GGA-PBE) data for crystalline BeAlH5 at its relaxed geometry, as listed in the Materials Project database.

The structure in POSCAR format:
```
BeAlH5
1.0
-0.069 -4.299 -0.245
4.281 -0.188 2.095
-2.698 -0.278 5.635
H Al Be
10 2 2
Cartesian
2.353 -4.462 4.530
1.211 -1.729 5.731
-2.478 -3.431 4.902
3.994 -1.246 2.588
2.501 -3.056 2.831
-0.974 -0.950 4.698
1.886 -1.149 1.475
-0.370 -3.528 6.016
0.294 -3.643 1.721
-0.868 -2.158 2.850
-1.725 -4.579 5.901
3.207 -2.248 1.467
3.206 -3.429 4.035
-1.689 -1.162 3.460
```

Output
**MP2020-corrected energy**: -3.629 eV per atom
**Largest piezoelectric modulus**: 0.097 C/m2
**ΔH_f (0 K)**: -13.2 kJ/mol of atoms
**Calculated total energy**: -0.129 Ha/atom

***

(3)
First-principles (GGA-PBE) data for crystalline ZrSO9 at its relaxed geometry, as listed in the Materials Project database.

The structure in POSCAR format:
```
ZrSO9
1.0
3.779 -4.391 -0.028
-3.336 1.259 6.474
-12.107 -10.394 -4.217
O S Zr
36 4 4
Cartesian
0.740 -3.069 2.964
0.020 -4.081 -0.108
-3.718 -6.959 -0.234
-3.569 -4.479 4.088
-6.005 -7.110 -1.040
-7.529 -9.697 3.112
-2.587 -6.141 2.005
-5.658 -6.416 3.269
-4.134 -3.829 -0.883
-6.598 -11.580 -2.010
-9.182 -9.282 1.068
-7.945 -6.567 2.463
-0.737 -2.874 4.896
-2.824 -2.526 2.595
-5.265 -1.628 5.473
-2.481 -4.243 1.161
-4.310 -4.626 5.134
-10.520 -12.596 0.894
-11.683 -9.445 2.337
-8.094 -9.047 -1.859
-1.142 -0.930 1.335
-8.839 -11.000 -0.366
-5.065 -1.946 4.239
-10.926 -10.652 -2.667
-9.076 -7.385 0.224
-6.398 -11.898 -3.244
-8.854 -13.373 -2.704
-7.067 -4.490 3.363
-4.596 -9.036 -1.134
-0.489 -6.351 1.183
-12.403 -10.457 -0.735
-11.174 -7.175 1.046
-2.809 -0.152 4.933
-5.388 -8.252 1.036
-7.353 -8.900 -2.904
-6.275 -5.274 1.193
-6.772 -5.714 2.472
-4.891 -7.811 -0.243
0.706 -3.113 4.405
-12.368 -10.413 -2.175
-7.960 -6.618 -1.383
-9.030 -11.355 -2.428
-2.633 -2.171 4.657
-3.703 -6.907 3.612
```

Output
**MP2020-corrected energy**: -6.016 eV per atom
**ΔH_f (0 K)**: -78.6 kJ/mol of atoms
**Calculated total energy**: -0.216 Ha/atom

***

(4)
First-principles (GGA-PBE) data for crystalline Os4SeS11Cl8 at its relaxed geometry, as listed in the Materials Project database.

The structure in POSCAR format:
```
Os4SeS11Cl8
1.0
-9.264 0.055 0.000
0.000 0.000 -11.236
0.074 -12.428 0.000
Cl S Os Se
16 22 8 2
Cartesian
-0.529 -1.293 -6.441
-4.066 -4.893 -0.823
-8.786 -1.236 -10.418
-7.128 -7.511 -5.247
-6.657 -11.049 -10.865
-5.073 -4.895 -4.800
-2.039 -7.528 -0.358
-5.077 -7.487 -10.440
-8.708 -11.072 -4.822
-2.055 -4.859 -5.981
-2.482 -11.086 -5.976
-7.093 -4.809 -10.932
-4.078 -7.500 -6.416
-2.540 -1.327 -0.363
-0.443 -11.115 -0.798
-6.766 -1.322 -5.314
-0.280 -9.104 -7.475
-3.245 -1.931 -3.776
-8.917 -3.264 -3.758
-8.864 -9.050 -9.383
-7.789 -8.117 -1.810
-7.494 -11.603 -7.854
-2.871 -5.409 -8.989
-5.957 -2.099 -1.807
-0.290 -3.304 -1.839
-4.920 -9.509 -3.765
-4.941 -2.867 -9.376
-6.290 -6.956 -2.236
-7.902 -4.032 -7.425
-3.144 -10.458 -9.429
-2.858 -6.970 -3.384
-1.377 -8.157 -3.811
-1.723 -0.777 -3.371
-1.663 -11.645 -9.002
-4.305 -2.882 -7.457
-4.241 -9.511 -1.857
-5.996 -10.443 -7.428
-1.349 -4.255 -9.394
-8.825 -1.089 -4.166
-4.103 -7.333 -1.477
-8.738 -11.229 -9.761
-4.125 -5.051 -7.086
-0.418 -11.282 -7.095
-5.047 -7.330 -4.143
-0.470 -1.136 -1.468
-5.034 -5.042 -9.784
-6.456 -5.553 -7.841
-7.402 -0.578 -2.223
```

Output
**MP2020-corrected energy**: -5.099 eV per atom
**ΔH_f (0 K)**: -55.0 kJ/mol of atoms
**Calculated total energy**: -0.171 Ha/atom

***

Look up the ΔH_f (0 K) of the first one. -18.5 kJ/mol of atoms